# 1
NaB7H14C2N2O14: relaxed, PBE.

Values from the calculation:
ΔE_f, eV/atom: -1.6838
Crystal system: triclinic

Lattice parameters (Å, degrees): 7.5812 8.4915 11.6423 96.70 94.56 102.91
With the nearest neighbours (Å) after each atom.
Fractional coordinates of all 80 atoms:
O (0.1933, 0.2265, 0.1326)  1 H 1.32, 1 B 1.33
O (0.2443, 0.8004, 0.6914)  2 B 1.38-1.53
O (0.3386, 0.7387, 0.8815)  2 B 1.37-1.49
O (0.5587, 0.9873, 0.1595)  2 B 1.43-1.44
O (0.7061, 0.1988, 0.5069)  1 H 1.00
O (0.5376, 0.2549, 0.7530)  2 B 1.36-1.49
O (0.2939, 0.8012, 0.4931)  1 H 1.00
O (0.6483, 0.5323, 0.7319)  1 H 1.14
O (0.0656, 0.1925, 0.7822)  1 H 1.00
O (0.7557, 0.1996, 0.3086)  2 B 1.38-1.53
O (0.7378, 0.4882, 0.0172)  1 H 1.00
O (0.8067, 0.7735, 0.8674)  1 H 1.32, 1 B 1.33
O (0.4942, 0.9956, 0.6354)  2 B 1.36-1.50
O (0.2622, 0.5118, 0.9828)  1 H 1.00
O (0.8788, 0.0878, 0.1430)  2 B 1.40-1.50
O (0.6614, 0.2613, 0.1185)  2 B 1.37-1.49
O (0.2525, 0.9224, 0.2217)  2 B 1.36-1.49
O (0.4413, 0.0127, 0.8405)  2 B 1.43-1.44
O (0.7475, 0.0776, 0.7783)  2 B 1.36-1.49
O (0.5058, 0.0044, 0.3646)  2 B 1.36-1.50
O (0.3517, 0.4677, 0.2681)  1 H 1.14
O (0.8609, 0.3628, 0.7623)  2 B 1.39-1.41
O (0.4624, 0.7451, 0.2470)  2 B 1.36-1.49
O (0.9541, 0.3272, 0.0490)  2 B 1.39-1.42
O (0.1391, 0.6372, 0.2377)  2 B 1.39-1.41
O (0.1212, 0.9122, 0.8570)  2 B 1.40-1.50
O (0.9344, 0.8075, 0.2178)  1 H 1.00
O (0.0459, 0.6728, 0.9510)  2 B 1.39-1.42
N (0.8464, 0.8016, 0.6217)  3 H 1.04-1.05
N (0.7394, 0.5434, 0.3238)  3 H 1.04-1.06
N (0.2606, 0.4566, 0.6762)  3 H 1.04-1.06
N (0.1536, 0.1984, 0.3783)  3 H 1.04-1.05
H (0.2815, 0.3629, 0.1980)  1 O 1.14
H (0.7986, 0.6254, 0.2695)  1 N 1.05
H (0.3623, 0.2376, 0.5165)  1 C 1.10
H (0.7837, 0.7055, 0.6645)  1 N 1.05
H (0.0813, 0.0860, 0.8055)  1 O 1.00
H (0.5965, 0.5274, 0.3089)  1 N 1.06
H (0.2163, 0.2945, 0.3355)  1 N 1.05
H (0.9865, 0.8153, 0.6406)  1 N 1.04
H (0.6272, 0.1303, 0.5560)  1 O 1.00
H (0.6377, 0.7624, 0.4835)  1 C 1.10
H (0.1893, 0.0955, 0.3368)  1 N 1.05
H (0.8544, 0.8613, 0.4491)  1 C 1.10
H (0.0335, 0.3895, 0.5503)  1 C 1.10
H (0.7627, 0.4286, 0.2995)  1 N 1.04
H (0.7185, 0.6371, 0.8020)  1 O 1.14
H (0.2385, 0.4944, 0.5006)  1 C 1.10
H (0.1456, 0.1387, 0.5509)  1 C 1.10
H (0.4035, 0.4726, 0.6911)  1 N 1.06
H (0.2373, 0.5714, 0.7005)  1 N 1.04
H (0.8107, 0.9045, 0.6632)  1 N 1.05
H (0.9187, 0.9140, 0.1945)  1 O 1.00
H (0.2014, 0.3746, 0.7305)  1 N 1.05
H (0.0135, 0.1847, 0.3594)  1 N 1.04
H (0.8460, 0.5544, 0.9875)  1 O 1.00
H (0.1540, 0.4456, 0.0125)  1 O 1.00
H (0.3728, 0.8697, 0.4440)  1 O 1.00
H (0.7615, 0.5056, 0.4994)  1 C 1.10
H (0.9665, 0.6105, 0.4497)  1 C 1.10
B (0.7837, 0.3583, 0.0610)  3 O 1.37-1.39
B (0.3186, 0.6174, 0.2500)  3 O 1.36-1.41
B (0.7064, 0.1283, 0.1797)  4 O 1.43-1.53
B (0.0143, 0.2088, 0.1089)  3 O 1.33-1.42
B (0.8870, 0.2086, 0.7769)  3 O 1.36-1.39
B (0.9857, 0.7912, 0.8911)  3 O 1.33-1.42
B (0.6537, 0.1325, 0.3915)  3 O 1.36-1.38
B (0.2163, 0.6417, 0.9390)  3 O 1.37-1.39
B (0.1130, 0.7914, 0.2231)  3 O 1.36-1.39
B (0.6814, 0.3826, 0.7500)  3 O 1.36-1.41
B (0.3463, 0.8675, 0.6085)  3 O 1.36-1.38
B (0.4475, 0.9160, 0.2435)  4 O 1.44-1.50
B (0.5525, 0.0840, 0.7565)  4 O 1.44-1.50
B (0.2936, 0.8717, 0.8203)  4 O 1.43-1.53
C (0.1811, 0.4000, 0.5531)  2 H 1.10
C (0.8189, 0.6000, 0.4469)  2 H 1.10
C (0.2169, 0.2360, 0.5057)  2 H 1.10
C (0.7831, 0.7640, 0.4943)  2 H 1.10
Na (0.3835, 0.1960, 0.9944)  3 O 2.28-2.38
Na (0.6165, 0.8040, 0.0056)  3 O 2.28-2.38

# 2
LiNd2IrO6: relaxed, PBE.

Values from the calculation:
ΔE_f, eV/atom: -2.7173
Crystal system: monoclinic

Lattice parameters (Å, degrees): 5.8409 5.4515 9.4597 55.38 90.00 90.00
With the nearest neighbours (Å) after each atom.
Fractional coordinates of all 20 atoms:
Nd (0.0737, 0.7703, 0.7483)  6 O 2.37-2.60
Nd (0.9263, 0.2297, 0.2517)  6 O 2.37-2.60
Nd (0.4263, 0.7703, 0.2483)  6 O 2.37-2.60
Nd (0.5737, 0.2297, 0.7517)  6 O 2.37-2.60
O (0.6875, 0.1517, 0.0485)  1 Ir 2.01, 1 Li 2.16
O (0.0296, 0.6470, 0.2542)  1 Ir 1.99, 1 Li 2.06
O (0.1875, 0.8483, 0.4515)  1 Ir 2.01, 1 Li 2.16
O (0.2888, 0.2674, 0.5531)  1 Ir 2.00, 1 Li 2.18
O (0.5296, 0.3530, 0.2458)  1 Ir 1.99, 1 Li 2.06
O (0.9704, 0.3530, 0.7458)  1 Ir 1.99, 1 Li 2.06
O (0.7888, 0.7326, 0.9469)  1 Ir 2.00, 1 Li 2.18
O (0.7112, 0.7326, 0.4469)  1 Ir 2.00, 1 Li 2.18
O (0.2112, 0.2674, 0.0531)  1 Ir 2.00, 1 Li 2.18
O (0.8125, 0.1517, 0.5485)  1 Ir 2.01, 1 Li 2.16
O (0.3125, 0.8483, 0.9515)  1 Ir 2.01, 1 Li 2.16
O (0.4704, 0.6470, 0.7542)  1 Ir 1.99, 1 Li 2.06
Li (0.0000, 0.0000, 0.0000)  6 O 2.06-2.18
Li (0.5000, 0.0000, 0.5000)  6 O 2.06-2.18
Ir (0.5000, 0.5000, 0.0000)  6 O 1.99-2.01
Ir (0.0000, 0.5000, 0.5000)  6 O 1.99-2.01

# 3
CsK2AuO2: relaxed, PBE.

Values from the calculation:
ΔE_f, eV/atom: -1.2631
Crystal system: orthorhombic

Lattice parameters (Å, degrees): 6.3648 7.4601 12.7122 90.00 90.00 90.00
With the nearest neighbours (Å) after each atom.
Fractional coordinates of all 24 atoms:
K (0.3611, 0.9977, 0.1394)  4 O 2.77-2.88
K (0.3611, 0.5023, 0.1394)  4 O 2.77-2.88
K (0.6389, 0.0023, 0.8606)  4 O 2.77-2.88
K (0.1389, 0.9977, 0.6394)  4 O 2.77-2.88
K (0.8611, 0.0023, 0.3606)  4 O 2.77-2.88
K (0.8611, 0.4977, 0.3606)  4 O 2.77-2.88
K (0.6389, 0.4977, 0.8606)  4 O 2.77-2.88
K (0.1389, 0.5023, 0.6394)  4 O 2.77-2.88
O (0.9278, 0.2500, 0.7739)  1 Au 2.04
O (0.0722, 0.7500, 0.2261)  1 Au 2.04
O (0.5848, 0.7500, 0.0182)  1 Au 2.04
O (0.4152, 0.2500, 0.9818)  1 Au 2.04
O (0.5722, 0.2500, 0.2739)  1 Au 2.04
O (0.0848, 0.2500, 0.4818)  1 Au 2.04
O (0.4278, 0.7500, 0.7261)  1 Au 2.04
O (0.9152, 0.7500, 0.5182)  1 Au 2.04
Au (0.3275, 0.2500, 0.3771)  2 O 2.04
Au (0.6725, 0.7500, 0.6229)  2 O 2.04
Au (0.8275, 0.7500, 0.1229)  2 O 2.04
Au (0.1725, 0.2500, 0.8771)  2 O 2.04
Cs (0.8173, 0.2500, 0.0942)  2 O 2.77-2.93
Cs (0.6827, 0.2500, 0.5942)  2 O 2.77-2.93
Cs (0.1827, 0.7500, 0.9058)  2 O 2.77-2.93
Cs (0.3173, 0.7500, 0.4058)  2 O 2.77-2.93

# 4
U12Ge3Te20: relaxed, PBE.

Values from the calculation:
ΔE_f, eV/atom: -0.8497
Crystal system: orthorhombic

Lattice parameters (Å, degrees): 4.2568 8.9300 26.2807 90.00 90.00 90.00
With the nearest neighbours (Å) after each atom.
Fractional coordinates of all 35 atoms:
Te (0.2500, 0.0070, 0.7009)  2 Ge 2.92, 3 U 3.13-3.19
Te (0.2500, 0.0064, 0.2010)  2 Ge 2.91, 4 U 3.14-3.23
Te (0.2500, 0.0070, 0.0491)  2 Ge 2.92, 3 U 3.13-3.19
Te (0.7500, 0.3720, 0.2090)  5 U 3.18-3.32
Te (0.7500, 0.3711, 0.0408)  5 U 3.18-3.31
Te (0.7500, 0.3597, 0.8750)  5 U 3.17-3.24
Te (0.7500, 0.3720, 0.5410)  5 U 3.18-3.32
Te (0.2500, 0.0064, 0.5490)  2 Ge 2.91, 4 U 3.14-3.23
Te (0.2500, 0.6400, 0.6247)  5 U 3.17-3.24
Te (0.7500, 0.9943, 0.3040)  4 U 3.07-3.36
Te (0.2500, 0.6294, 0.4587)  5 U 3.17-3.33
Te (0.7500, 0.9943, 0.4460)  4 U 3.07-3.36
Te (0.7500, 0.9931, 0.7991)  2 Ge 2.92, 3 U 3.13-3.19
Te (0.2500, 0.6400, 0.1253)  5 U 3.17-3.24
Te (0.2500, 0.6288, 0.9594)  5 U 3.19-3.30
Te (0.2500, 0.6288, 0.7906)  5 U 3.19-3.30
Te (0.7500, 0.9931, 0.9509)  2 Ge 2.92, 3 U 3.13-3.19
Te (0.2500, 0.6294, 0.2913)  5 U 3.17-3.33
Te (0.7500, 0.3559, 0.3750)  5 U 3.21-3.27
Te (0.7500, 0.3711, 0.7092)  5 U 3.18-3.31
U (0.2500, 0.2774, 0.1250)  7 Te 3.13-3.24, 2 Ge 3.21
U (0.2500, 0.2774, 0.6250)  7 Te 3.13-3.24, 2 Ge 3.21
U (0.7500, 0.7414, 0.7074)  8 Te 3.17-3.31, 1 Ge 3.22
U (0.2500, 0.2591, 0.9577)  8 Te 3.17-3.30, 1 Ge 3.22
U (0.2500, 0.2591, 0.7923)  8 Te 3.17-3.30, 1 Ge 3.22
U (0.2500, 0.2562, 0.2898)  8 Te 3.18-3.33
U (0.7500, 0.7218, 0.3750)  7 Te 3.07-3.27
U (0.7500, 0.7229, 0.8750)  7 Te 3.13-3.24, 2 Ge 3.21
U (0.7500, 0.7440, 0.2083)  8 Te 3.17-3.36, 1 Ge 3.21
U (0.7500, 0.7440, 0.5417)  8 Te 3.17-3.36, 1 Ge 3.21
U (0.2500, 0.2562, 0.4602)  8 Te 3.18-3.33
U (0.7500, 0.7414, 0.0426)  8 Te 3.17-3.31, 1 Ge 3.22
Ge (0.7500, 0.0078, 0.1253)  4 Te 2.91-2.92, 4 U 3.21-3.22
Ge (0.2500, 0.9926, 0.8750)  4 Te 2.92, 4 U 3.21-3.22
Ge (0.7500, 0.0078, 0.6247)  4 Te 2.91-2.92, 4 U 3.21-3.22